A relaxed Dy2NiSn6 crystal. Source: Materials Project, functional r²SCAN.

abc: 11.608 11.608 4.380
angles: 90.00 90.00 158.52
Positions (direct):
1 Dy 0.176 0.824 0.000
2 Dy 0.824 0.176 0.000
3 Ni 0.500 0.500 0.500
4 Sn 0.069 0.931 0.500
5 Sn 0.293 0.707 0.500
6 Sn 0.431 0.569 0.000
7 Sn 0.569 0.431 0.000
8 Sn 0.707 0.293 0.500
9 Sn 0.931 0.069 0.500

Summary:
DFT formation energy (eV per atom): -0.487
Total energy (eV/atom): -25.42